Computed, not measured: crystalline Fe3P4O16 at its relaxed geometry at the GGA+U level of DFT.

Lattice parameters (Å, degrees): 6.403 10.369 11.035 92.28 89.80 71.89
Fractional coordinates of all 46 atoms:
Fe 0.000 0.500 0.500
Fe 0.328 0.311 0.747
Fe 0.363 0.308 0.247
Fe 0.500 0.500 0.000
Fe 0.637 0.692 0.753
Fe 0.672 0.689 0.253
P 0.814 0.405 0.245
P 0.782 0.406 0.745
P 0.434 0.818 0.012
P 0.566 0.182 0.988
P 0.218 0.594 0.255
P 0.186 0.595 0.755
P 0.746 0.818 0.509
P 0.254 0.182 0.491
O 0.243 0.952 0.033
O 0.016 0.318 0.766
O 0.045 0.307 0.491
O 0.197 0.048 0.476
O 0.051 0.318 0.221
O 0.209 0.487 0.644
O 0.984 0.682 0.234
O 0.955 0.693 0.509
O 0.803 0.952 0.524
O 0.949 0.682 0.779
O 0.791 0.513 0.356
O 0.626 0.825 0.388
O 0.766 0.511 0.641
O 0.588 0.815 0.120
O 0.594 0.815 0.617
O 0.726 0.510 0.140
O 0.548 0.826 0.891
O 0.694 0.514 0.856
O 0.666 0.318 0.265
O 0.234 0.489 0.359
O 0.757 0.048 0.967
O 0.633 0.319 0.722
O 0.367 0.681 0.278
O 0.649 0.307 0.990
O 0.351 0.693 0.010
O 0.334 0.682 0.735
O 0.306 0.486 0.144
O 0.452 0.174 0.109
O 0.274 0.490 0.860
O 0.406 0.185 0.383
O 0.412 0.185 0.880
O 0.374 0.175 0.612

The calculation puts the formation enthalpy at 0 K at -2110 meV/atom. For the energy above the lowest structure with this stoichiometry, the calculation gives 0.375 eV/f.u.